Ca: optimized geometry, PBE.

Energy of formation from the pure elements (eV/atom): 0.00
Polymorph energy (0 for the lowest one) (eV/atom): 0.000
Crystal system: cubic

Unit cell a=5.5074 b=5.5074 c=5.5074 alpha=90.00 beta=90.00 gamma=90.00
Closest atoms and distances in Å follow each position.
Space group Fm-3m (No. 225)
Inequivalent atoms, fractional coordinates:
Ca (0.0000, 0.0000, 0.0000) x4  12 Ca 3.89